# 1
SmGe3Rh5, optimized geometry, DFT PBE; space-group type = P6_3/m; theoretical density = 9.898 g/cm3; energy of formation from the pure elements = -6.3 eV/f.u.; energy above the lowest structure with this stoichiometry = 0.025 eV/atom
1.0
22.771 0.000 0.000
-11.386 19.720 0.000
0.000 0.000 3.958
Sm Ge Rh
12 36 60
direct
0.035 0.770 0.250
0.139 0.524 0.250
0.230 0.265 0.250
0.265 0.035 0.750
0.385 0.861 0.250
0.476 0.615 0.250
0.524 0.385 0.750
0.615 0.139 0.750
0.735 0.965 0.250
0.770 0.735 0.750
0.861 0.476 0.750
0.965 0.230 0.750
0.015 0.430 0.750
0.063 0.890 0.750
0.083 0.317 0.250
0.110 0.173 0.750
0.124 0.739 0.750
0.165 0.639 0.750
0.173 0.063 0.250
0.221 0.488 0.750
0.234 0.917 0.250
0.261 0.385 0.750
0.267 0.779 0.750
0.317 0.234 0.750
0.361 0.526 0.750
0.385 0.124 0.250
0.415 0.985 0.750
0.430 0.415 0.250
0.474 0.835 0.750
0.488 0.267 0.250
0.512 0.733 0.750
0.526 0.165 0.250
0.570 0.585 0.750
0.585 0.015 0.250
0.615 0.876 0.750
0.639 0.474 0.250
0.683 0.766 0.250
0.733 0.221 0.250
0.739 0.615 0.250
0.766 0.083 0.750
0.779 0.512 0.250
0.827 0.937 0.750
0.835 0.361 0.250
0.876 0.261 0.250
0.890 0.827 0.250
0.917 0.683 0.750
0.937 0.110 0.250
0.985 0.570 0.250
0.004 0.648 0.750
0.007 0.918 0.250
0.042 0.549 0.750
0.057 0.197 0.250
0.082 0.089 0.250
0.089 0.007 0.750
0.101 0.394 0.750
0.106 0.658 0.250
0.140 0.295 0.750
0.140 0.943 0.250
0.155 0.860 0.750
0.197 0.140 0.750
0.202 0.409 0.250
0.207 0.798 0.250
0.250 0.697 0.250
0.256 0.610 0.750
0.294 0.899 0.750
0.295 0.155 0.250
0.303 0.553 0.250
0.342 0.448 0.250
0.352 0.356 0.750
0.354 0.744 0.750
0.356 0.004 0.250
0.390 0.646 0.750
0.394 0.294 0.250
0.409 0.207 0.750
0.447 0.750 0.250
0.448 0.106 0.750
0.451 0.493 0.750
0.493 0.042 0.250
0.507 0.958 0.750
0.549 0.507 0.250
0.552 0.894 0.250
0.553 0.250 0.750
0.591 0.793 0.250
0.606 0.706 0.750
0.610 0.354 0.250
0.644 0.996 0.750
0.646 0.256 0.250
0.648 0.644 0.250
0.658 0.552 0.750
0.697 0.447 0.750
0.705 0.845 0.750
0.706 0.101 0.250
0.744 0.390 0.250
0.750 0.303 0.750
0.793 0.202 0.750
0.798 0.591 0.750
0.803 0.860 0.250
0.845 0.140 0.250
0.860 0.057 0.750
0.860 0.705 0.250
0.894 0.342 0.750
0.899 0.606 0.250
0.911 0.993 0.250
0.918 0.911 0.750
0.943 0.803 0.750
0.958 0.451 0.250
0.993 0.082 0.750
0.996 0.352 0.250



# 2
TiCrCuS4, optimized geometry, DFT PBE; theoretical density = 4.060 g/cm3; energy of formation from the pure elements = -7.8 eV/f.u.; energy above the lowest structure with this stoichiometry = 0.070 eV/atom
1.0
-0.942 5.462 -4.130
5.764 0.236 -1.002
-0.922 -3.616 -4.572
Cr S Cu Ti
2 8 2 2
direct
0.000 0.000 0.500
0.500 0.000 0.500
0.250 0.829 0.262
0.500 0.678 0.737
0.000 0.678 0.737
0.000 0.322 0.263
0.750 0.171 0.738
0.750 0.829 0.262
0.250 0.171 0.738
0.500 0.322 0.263
0.000 0.000 0.000
0.500 0.000 0.000
0.750 0.500 0.500
0.250 0.500 0.500



# 3
K2Re, optimized geometry, DFT PBE; space-group type = P-62m; theoretical density = 3.475 g/cm3; energy of formation from the pure elements = 6.0 eV/f.u.; energy above the lowest structure with this stoichiometry = 0.414 eV/atom
1.0
9.469 0.000 0.000
-4.735 8.200 0.000
0.000 0.000 4.881
K Re
6 3
direct
0.000 0.257 0.000
0.000 0.589 0.500
0.257 0.000 0.000
0.411 0.411 0.500
0.589 0.000 0.500
0.743 0.743 0.000
0.000 0.000 0.500
0.333 0.667 0.000
0.667 0.333 0.000